(1)
Entry from the Materials Project database: a geometry-optimized Ga3Hg structure (GGA-PBE).

a = 6.1348 Å, b = 6.1348 Å, c = 5.1411 Å
α = 90.00°, β = 90.00°, γ = 120.00°
Positions (direct):
1 Ga 0.8393 0.6786 0.7500
2 Hg 0.6667 0.3333 0.2500
3 Ga 0.1607 0.8393 0.2500
4 Ga 0.8393 0.1607 0.7500
5 Ga 0.6786 0.8393 0.2500
6 Ga 0.1607 0.3214 0.2500
7 Hg 0.3333 0.6667 0.7500
8 Ga 0.3214 0.1607 0.7500

Results
calculated total energy: -2.26 eV/atom
ΔH_f (0 K): 87 meV per atom

***

(2)
Entry from the Materials Project database: a geometry-optimized GaHg3 structure (GGA-PBE).

a = 5.2189 Å, b = 5.2189 Å, c = 5.2189 Å
α = 60.00°, β = 60.00°, γ = 60.00°
Positions (direct):
1 Hg 0.7500 0.7500 0.7500
2 Ga 0.0000 0.0000 0.0000
3 Hg 0.2500 0.2500 0.2500
4 Hg 0.5000 0.5000 0.5000

Results
calculated total energy: -0.92 eV/atom
ΔH_f (0 K): 69 meV per atom

***

(3)
Entry from the Materials Project database: a geometry-optimized GaHg3 structure (GGA-PBE).

a = 5.9323 Å, b = 5.9323 Å, c = 5.9323 Å
α = 135.12°, β = 135.12°, γ = 65.34°
Positions (direct):
1 Hg 0.5000 0.5000 0.0000
2 Ga 0.0000 0.0000 0.0000
3 Hg 0.2500 0.7500 0.5000
4 Hg 0.7500 0.2500 0.5000

Results
calculated total energy: -0.92 eV/atom
ΔH_f (0 K): 67 meV per atom

***

(4)
Entry from the Materials Project database: a geometry-optimized Ga3Hg structure (GGA-PBE).

a = 5.5288 Å, b = 5.5288 Å, c = 5.5288 Å
α = 134.87°, β = 134.87°, γ = 65.72°
Positions (direct):
1 Ga 0.7500 0.2500 0.5000
2 Ga 0.5000 0.5000 0.0000
3 Ga 0.2500 0.7500 0.5000
4 Hg 0.0000 0.0000 0.0000

Results
calculated total energy: -2.27 eV/atom
ΔH_f (0 K): 75 meV per atom

***

(5)
Entry from the Materials Project database: a geometry-optimized GaHg3 structure (GGA-PBE).

a = 6.6446 Å, b = 6.6446 Å, c = 5.2996 Å
α = 90.00°, β = 90.00°, γ = 120.00°
Positions (direct):
1 Ga 0.3333 0.6667 0.7500
2 Hg 0.6618 0.8309 0.2500
3 Hg 0.3382 0.1691 0.7500
4 Hg 0.8309 0.6618 0.7500
5 Ga 0.6667 0.3333 0.2500
6 Hg 0.1691 0.3382 0.2500
7 Hg 0.8309 0.1691 0.7500
8 Hg 0.1691 0.8309 0.2500

Results
calculated total energy: -0.92 eV/atom
ΔH_f (0 K): 65 meV per atom

***

(6)
Entry from the Materials Project database: a geometry-optimized Pm2GaHg structure (GGA-PBE).

a = 5.3194 Å, b = 5.3194 Å, c = 5.3194 Å
α = 60.00°, β = 60.00°, γ = 60.00°
Positions (direct):
1 Pm 0.2500 0.2500 0.2500
2 Hg 0.0000 0.0000 0.0000
3 Pm 0.7500 0.7500 0.7500
4 Ga 0.5000 0.5000 0.5000

Results
calculated total energy: -3.71 eV/atom
ΔH_f (0 K): -504 meV per atom

***

(7)
Entry from the Materials Project database: a geometry-optimized Ga2Hg5Se8 structure (GGA-PBE).

a = 8.4697 Å, b = 8.4697 Å, c = 8.4697 Å
α = 119.04°, β = 119.04°, γ = 91.67°
Positions (direct):
1 Hg 0.2350 0.7650 0.0000
2 Ga 0.2375 0.2375 0.0000
3 Hg 0.2500 0.7500 0.5000
4 Hg 0.7650 0.7650 0.5300
5 Se 0.8529 0.5979 0.7449
6 Se 0.4021 0.1471 0.2551
7 Se 0.4010 0.6314 0.7696
8 Ga 0.7625 0.7625 0.0000
9 Se 0.8920 0.1471 0.7449
10 Se 0.8618 0.6314 0.2304
11 Hg 0.2350 0.2350 0.4700
12 Se 0.3686 0.5990 0.2304
13 Se 0.3686 0.1382 0.7696
14 Hg 0.7650 0.2350 0.0000
15 Se 0.8529 0.1080 0.2551

Results
calculated total energy: -2.70 eV/atom
ΔH_f (0 K): -579 meV per atom

***

(8)
Entry from the Materials Project database: a geometry-optimized Ga2HgSe4 structure (GGA-PBE).

a = 6.9038 Å, b = 6.9038 Å, c = 6.9038 Å
α = 129.59°, β = 129.59°, γ = 74.07°
Positions (direct):
1 Se 0.5981 0.5860 0.4622
2 Hg 0.0000 0.0000 0.0000
3 Se 0.8641 0.4019 0.9879
4 Ga 0.2500 0.7500 0.5000
5 Se 0.1238 0.1359 0.5378
6 Ga 0.5000 0.5000 0.0000
7 Se 0.4140 0.8762 0.0121

Results
maximum piezoelectric response: 0.1 C/m2
calculated total energy: -3.41 eV/atom
ΔH_f (0 K): -773 meV per atom

***

(9)
Entry from the Materials Project database: a geometry-optimized Ga2HgSe4 structure (GGA-PBE).

a = 6.7223 Å, b = 6.7223 Å, c = 6.7223 Å
α = 130.88°, β = 130.88°, γ = 72.00°
Positions (direct):
1 Se 0.2749 0.2749 0.0000
2 Se 0.4774 0.9774 0.5000
3 Se 0.0226 0.5226 0.5000
4 Ga 0.2500 0.7500 0.5000
5 Ga 0.5000 0.5000 0.0000
6 Se 0.7251 0.7251 0.0000
7 Hg 0.0000 0.0000 0.0000

Results
calculated total energy: -3.11 eV/atom
ΔH_f (0 K): -471 meV per atom

***

(10)
Entry from the Materials Project database: a geometry-optimized Sr2GaHg structure (GGA-PBE).

a = 5.5859 Å, b = 5.5859 Å, c = 5.5859 Å
α = 60.00°, β = 60.00°, γ = 60.00°
Positions (direct):
1 Sr 0.7500 0.7500 0.7500
2 Sr 0.2500 0.2500 0.2500
3 Hg 0.0000 0.0000 0.0000
4 Ga 0.5000 0.5000 0.5000

Results
calculated total energy: -2.13 eV/atom
ΔH_f (0 K): -453 meV per atom

***

(11)
Entry from the Materials Project database: a geometry-optimized Ga2HgTe4 structure (GGA-PBE).

a = 7.5321 Å, b = 8.8287 Å, c = 14.4397 Å
α = 90.00°, β = 100.88°, γ = 90.11°
Positions (direct):
1 Hg 0.9928 0.0042 0.0001
2 Te 0.8417 0.0094 0.4363
3 Ga 0.7547 0.9865 0.2477
4 Ga 0.9909 0.7447 0.5015
5 Te 0.0574 0.2210 0.6848
6 Te 0.8212 0.2839 0.9413
7 Ga 0.7535 0.7641 0.7482
8 Te 0.5708 0.5000 0.6865
9 Hg 0.7811 0.5192 0.2543
10 Te 0.5566 0.2395 0.1869
11 Te 0.2928 0.7384 0.4254
12 Te 0.5356 0.0021 0.7015
13 Ga 0.4963 0.5043 0.4943
14 Te 0.2998 0.5028 0.9540
15 Te 0.0805 0.9840 0.2019
16 Ga 0.2268 0.2589 0.2481
17 Te 0.5347 0.7595 0.1851
18 Te 0.0822 0.5026 0.1714
19 Ga 0.7687 0.2336 0.7546
20 Ga 0.5003 0.2478 0.9926
21 Te 0.8246 0.4822 0.4537
22 Te 0.0690 0.7846 0.6893
23 Hg 0.2158 0.4929 0.7491
24 Hg 0.5072 0.9966 0.5011
25 Te 0.3192 0.9989 0.9187
26 Te 0.8245 0.7220 0.9364
27 Ga 0.5095 0.7547 0.9966
28 Te 0.2917 0.2615 0.4387

Results
calculated total energy: -2.97 eV/atom
ΔH_f (0 K): -508 meV per atom

***

(12)
Entry from the Materials Project database: a geometry-optimized Ga2HgTe4 structure (GGA-PBE).

a = 7.4710 Å, b = 7.4710 Å, c = 7.4710 Å
α = 130.41°, β = 130.41°, γ = 72.75°
Positions (direct):
1 Te 0.1139 0.5849 0.9764
2 Hg 0.0000 0.0000 0.0000
3 Te 0.6085 0.1375 0.0236
4 Ga 0.2500 0.7500 0.5000
5 Te 0.4151 0.3915 0.5290
6 Te 0.8625 0.8861 0.4710
7 Ga 0.5000 0.5000 0.0000

Results
maximum piezoelectric response: 0.1 C/m2
calculated total energy: -3.01 eV/atom
ΔH_f (0 K): -542 meV per atom

***

(13)
Entry from the Materials Project database: a geometry-optimized Ga2HgTe4 structure (GGA-PBE).

a = 7.7106 Å, b = 7.7106 Å, c = 7.7106 Å
α = 133.77°, β = 133.77°, γ = 67.45°
Positions (direct):
1 Hg 0.0000 0.0000 0.0000
2 Ga 0.2500 0.7500 0.5000
3 Te 0.5960 0.5960 0.4405
4 Te 0.4040 0.8445 0.0000
5 Te 0.1555 0.1555 0.5595
6 Ga 0.7500 0.2500 0.5000
7 Te 0.8445 0.4040 0.0000

Results
calculated total energy: -2.99 eV/atom
ΔH_f (0 K): -531 meV per atom

***

(14)
Entry from the Materials Project database: a geometry-optimized HoGa structure (GGA-PBE).

a = 5.8359 Å, b = 5.8359 Å, c = 4.0693 Å
α = 90.00°, β = 90.00°, γ = 136.52°
Positions (direct):
1 Ga 0.5765 0.4235 0.2500
2 Ga 0.4235 0.5765 0.7500
3 Ho 0.1380 0.8620 0.7500
4 Ho 0.8620 0.1380 0.2500

Results
calculated total energy: -4.43 eV/atom
ΔH_f (0 K): -628 meV per atom

***

(15)
Entry from the Materials Project database: a geometry-optimized Ho5Ga3 structure (GGA-PBE).

a = 8.5716 Å, b = 8.5716 Å, c = 6.5158 Å
α = 90.00°, β = 90.00°, γ = 120.00°
Positions (direct):
1 Ga 0.0000 0.4040 0.7500
2 Ho 0.0000 0.2411 0.2500
3 Ho 0.7589 0.0000 0.7500
4 Ga 0.4040 0.0000 0.7500
5 Ga 0.5960 0.0000 0.2500
6 Ga 0.0000 0.5960 0.2500
7 Ga 0.4040 0.4040 0.2500
8 Ho 0.7589 0.7589 0.2500
9 Ho 0.2411 0.2411 0.7500
10 Ho 0.2411 0.0000 0.2500
11 Ho 0.6667 0.3333 0.5000
12 Ho 0.3333 0.6667 0.0000
13 Ga 0.5960 0.5960 0.7500
14 Ho 0.3333 0.6667 0.5000
15 Ho 0.6667 0.3333 0.0000
16 Ho 0.0000 0.7589 0.7500

Results
calculated total energy: -4.47 eV/atom
ΔH_f (0 K): -473 meV per atom

***

(16)
Entry from the Materials Project database: a geometry-optimized Ho5Ga3 structure (GGA-PBE).

a = 7.5969 Å, b = 7.5969 Å, c = 14.0690 Å
α = 90.00°, β = 90.00°, γ = 90.00°
Positions (direct):
1 Ho 0.0000 0.5000 0.7623
2 Ho 0.8243 0.1625 0.8979
3 Ho 0.1757 0.8375 0.8979
4 Ga 0.8772 0.8772 0.7500
5 Ho 0.1757 0.1625 0.3979
6 Ga 0.5000 0.0000 0.5040
7 Ga 0.0000 0.5000 0.4960
8 Ho 0.5000 0.0000 0.7377
9 Ho 0.8375 0.8243 0.1021
10 Ho 0.8375 0.1757 0.6021
11 Ho 0.8243 0.8375 0.3979
12 Ho 0.0000 0.5000 0.2623
13 Ho 0.3375 0.3243 0.8979
14 Ga 0.3772 0.3772 0.2500
15 Ho 0.3243 0.6625 0.1021
16 Ga 0.1228 0.1228 0.7500
17 Ho 0.6625 0.3243 0.3979
18 Ga 0.1228 0.8772 0.2500
19 Ho 0.3375 0.6757 0.3979
20 Ga 0.3772 0.6228 0.7500
21 Ho 0.5000 0.0000 0.2377
22 Ga 0.8772 0.1228 0.2500
23 Ga 0.6228 0.3772 0.7500
24 Ho 0.6625 0.6757 0.8979
25 Ga 0.6228 0.6228 0.2500
26 Ho 0.1625 0.8243 0.6021
27 Ho 0.1625 0.1757 0.1021
28 Ho 0.6757 0.6625 0.6021
29 Ga 0.5000 0.0000 0.0040
30 Ho 0.3243 0.3375 0.6021
31 Ga 0.0000 0.5000 0.9960
32 Ho 0.6757 0.3375 0.1021

Results
calculated total energy: -4.49 eV/atom
ΔH_f (0 K): -491 meV per atom

***

(17)
Entry from the Materials Project database: a geometry-optimized LiHo2Ga structure (GGA-PBE).

a = 5.0751 Å, b = 5.0751 Å, c = 5.0751 Å
α = 60.00°, β = 60.00°, γ = 60.00°
Positions (direct):
1 Ga 0.5000 0.5000 0.5000
2 Ho 0.2500 0.2500 0.2500
3 Li 0.0000 0.0000 0.0000
4 Ho 0.7500 0.7500 0.7500

Results
calculated total energy: -3.84 eV/atom
ΔH_f (0 K): -313 meV per atom

***

(18)
Entry from the Materials Project database: a geometry-optimized HoMnGa structure (GGA-PBE).

a = 8.1877 Å, b = 8.1877 Å, c = 8.1877 Å
α = 128.37°, β = 122.09°, γ = 81.26°
Positions (direct):
1 Ho 0.0436 0.1137 0.5701
2 Mn 0.8333 0.8627 0.0263
3 Ho 0.5468 0.1203 0.0735
4 Ga 0.3744 0.5253 0.1566
5 Ho 0.7503 0.9517 0.7015
6 Ga 0.2469 0.5230 0.7761
7 Ga 0.8687 0.5253 0.6509
8 Mn 0.5000 0.2895 0.7895
9 Mn 0.1667 0.1930 0.0294
10 Ho 0.4532 0.5267 0.5735
11 Ga 0.7531 0.5292 0.2761
12 Mn 0.6636 0.1930 0.5263
13 Ga 0.6256 0.7823 0.1509
14 Ga 0.1313 0.7823 0.6566
15 Ho 0.9564 0.5266 0.0701
16 Mn 0.3364 0.8627 0.5294
17 Ho 0.2497 0.9512 0.2015
18 Mn 0.0000 0.2895 0.2895

Results
calculated total energy: -5.77 eV/atom
ΔH_f (0 K): -176 meV per atom

***

(19)
Entry from the Materials Project database: a geometry-optimized HoMnGa structure (GGA-PBE).

a = 3.6734 Å, b = 7.4261 Å, c = 7.4261 Å
α = 120.00°, β = 90.00°, γ = 90.00°
Positions (direct):
1 Ga 0.0000 0.0000 0.7264
2 Mn 0.0000 0.6667 0.3333
3 Ga 0.0000 0.7264 0.0000
4 Ho 0.5000 0.6015 0.6015
5 Ho 0.5000 0.3985 0.0000
6 Ho 0.5000 0.0000 0.3985
7 Mn 0.0000 0.3333 0.6667
8 Mn 0.5000 0.0000 0.0000
9 Ga 0.0000 0.2736 0.2736

Results
calculated total energy: -5.79 eV/atom
ΔH_f (0 K): -203 meV per atom